# 1
# PBE-GGA NaTiAlP2SO12, optimized geometry
# - ΔH_f (0 K): -4828.6 kJ/mol of formula units
# - Magnetization: 0.00 μB per formula unit
data_NaTiAlP2SO12
_cell_length_a 8.475
_cell_length_b 8.471
_cell_length_c 22.123
_cell_angle_alpha 89.98
_cell_angle_beta 90.00
_cell_angle_gamma 120.01
_symmetry_space_group_name_H-M 'P 1'
_symmetry_Int_Tables_number 1
_symmetry_space_group_name_Hall 'P 1'
loop_
_atom_site_label
_atom_site_type_symbol
_atom_site_fract_x
_atom_site_fract_y
_atom_site_fract_z
_atom_site_occupancy
O1 O 0.034 0.826 0.695 1
O2 O 0.792 0.826 0.195 1
O3 O 0.499 0.359 0.424 1
O4 O 0.144 0.502 0.576 1
O5 O 0.636 0.145 0.426 1
O6 O 0.527 0.693 0.258 1
O7 O 0.142 0.642 0.076 1
O8 O 0.167 0.976 0.909 1
O9 O 0.810 0.836 0.909 1
O10 O 0.519 0.830 0.758 1
O11 O 0.176 0.479 0.259 1
O12 O 0.506 0.865 0.077 1
O13 O 0.534 0.836 0.473 1
O14 O 0.367 0.492 0.362 1
O15 O 0.490 0.126 0.638 1
O16 O 0.164 0.697 0.473 1
O17 O 0.809 0.976 0.409 1
O18 O 0.359 0.502 0.076 1
O19 O 0.969 0.169 0.306 1
O20 O 0.125 0.492 0.862 1
O21 O 0.168 0.199 0.693 1
O22 O 0.977 0.163 0.591 1
O23 O 0.509 0.145 0.926 1
O24 O 0.697 0.532 0.526 1
O25 O 0.497 0.363 0.140 1
O26 O 0.500 0.642 0.576 1
O27 O 0.025 0.836 0.409 1
O28 O 0.477 0.169 0.242 1
O29 O 0.835 0.532 0.026 1
O30 O 0.832 0.026 0.091 1
O31 O 0.359 0.865 0.577 1
O32 O 0.026 0.198 0.911 1
O33 O 0.970 0.812 0.092 1
O34 O 0.701 0.159 0.028 1
O35 O 0.475 0.309 0.742 1
O36 O 0.830 0.030 0.806 1
O37 O 0.795 0.964 0.694 1
O38 O 0.853 0.496 0.424 1
O39 O 0.303 0.479 0.759 1
O40 O 0.302 0.836 0.973 1
O41 O 0.866 0.363 0.640 1
O42 O 0.693 0.532 0.244 1
O43 O 0.364 0.865 0.860 1
O44 O 0.842 0.812 0.592 1
O45 O 0.030 0.199 0.193 1
O46 O 0.636 0.126 0.138 1
O47 O 0.186 0.163 0.091 1
O48 O 0.156 0.459 0.971 1
O49 O 0.303 0.459 0.471 1
O50 O 0.502 0.865 0.360 1
O51 O 0.644 0.496 0.924 1
O52 O 0.166 0.693 0.758 1
O53 O 0.839 0.532 0.744 1
O54 O 0.867 0.503 0.140 1
O55 O 0.861 0.359 0.924 1
O56 O 0.310 0.830 0.258 1
O57 O 0.458 0.159 0.528 1
O58 O 0.201 0.169 0.806 1
O59 O 0.462 0.297 0.027 1
O60 O 0.173 0.198 0.411 1
O61 O 0.969 0.792 0.804 1
O62 O 0.129 0.630 0.360 1
O63 O 0.533 0.697 0.973 1
O64 O 0.692 0.169 0.742 1
O65 O 0.168 0.964 0.194 1
O66 O 0.835 0.297 0.527 1
O67 O 0.834 0.309 0.242 1
O68 O 0.200 0.030 0.306 1
O69 O 0.194 0.026 0.591 1
O70 O 0.823 0.792 0.304 1
O71 O 0.502 0.630 0.860 1
O72 O 0.635 0.503 0.640 1
Al1 Al 0.657 0.340 0.980 1
Al2 Al 0.350 0.673 0.814 1
Al3 Al 0.990 0.007 0.647 1
Al4 Al 0.683 0.340 0.480 1
Al5 Al 0.016 0.007 0.147 1
Al6 Al 0.324 0.673 0.314 1
P1 P 0.340 0.958 0.915 1
P2 P 0.286 0.996 0.249 1
P3 P 0.953 0.329 0.582 1
P4 P 0.674 0.624 0.582 1
P5 P 0.284 0.291 0.749 1
P6 P 0.007 0.291 0.249 1
P7 P 0.620 0.663 0.916 1
P8 P 0.043 0.663 0.416 1
P9 P 0.376 0.329 0.082 1
P10 P 0.950 0.624 0.082 1
P11 P 0.617 0.958 0.415 1
P12 P 0.709 0.996 0.749 1
S1 S 0.673 0.049 0.083 1
S2 S 0.006 0.716 0.749 1
S3 S 0.043 0.383 0.916 1
S4 S 0.340 0.383 0.416 1
S5 S 0.376 0.049 0.583 1
S6 S 0.710 0.716 0.249 1
Na1 Na 0.327 0.663 0.168 1
Na2 Na 0.993 0.996 0.501 1
Na3 Na 0.003 0.996 0.001 1
Na4 Na 0.336 0.663 0.668 1
Na5 Na 0.669 0.330 0.335 1
Na6 Na 0.660 0.330 0.835 1
Ti1 Ti 0.668 0.338 0.687 1
Ti2 Ti 0.003 0.004 0.854 1
Ti3 Ti 0.002 0.004 0.354 1
Ti4 Ti 0.335 0.671 0.020 1
Ti5 Ti 0.336 0.671 0.520 1
Ti6 Ti 0.669 0.338 0.187 1

# 2
# PBE-GGA Ti2Al3Ni, optimized geometry
# - ΔH_f (0 K): -277.6 kJ/mol of formula units
# - Magnetization: 1.31 μB per formula unit
data_Ti2Al3Ni
_cell_length_a 5.122
_cell_length_b 5.123
_cell_length_c 7.844
_cell_angle_alpha 90.00
_cell_angle_beta 90.00
_cell_angle_gamma 60.00
_symmetry_space_group_name_H-M 'P 1'
_symmetry_Int_Tables_number 1
_symmetry_space_group_name_Hall 'P 1'
loop_
_atom_site_label
_atom_site_type_symbol
_atom_site_fract_x
_atom_site_fract_y
_atom_site_fract_z
_atom_site_occupancy
Al1 Al 0.832 0.336 0.750 1
Al2 Al 0.832 0.832 0.750 1
Al3 Al 0.168 0.168 0.250 1
Al4 Al 0.336 0.832 0.750 1
Al5 Al 0.664 0.168 0.250 1
Al6 Al 0.168 0.664 0.250 1
Ni1 Ni 0.000 0.000 0.000 1
Ni2 Ni 0.000 0.000 0.500 1
Ti1 Ti 0.667 0.667 0.066 1
Ti2 Ti 0.333 0.333 0.566 1
Ti3 Ti 0.667 0.667 0.434 1
Ti4 Ti 0.333 0.333 0.934 1

# 3
# PBE-GGA ZrSn, optimized geometry
# - ΔH_f (0 K): -65.0 kJ/mol of formula units
# - Magnetization: 0.00 μB per formula unit
data_ZrSn
_cell_length_a 3.166
_cell_length_b 5.303
_cell_length_c 5.472
_cell_angle_alpha 90.00
_cell_angle_beta 90.00
_cell_angle_gamma 90.00
_symmetry_space_group_name_H-M 'P 1'
_symmetry_Int_Tables_number 1
_symmetry_space_group_name_Hall 'P 1'
loop_
_atom_site_label
_atom_site_type_symbol
_atom_site_fract_x
_atom_site_fract_y
_atom_site_fract_z
_atom_site_occupancy
Sn1 Sn 0.500 0.693 0.250 1
Sn2 Sn 0.500 0.307 0.750 1
Zr1 Zr 0.000 0.190 0.250 1
Zr2 Zr 0.000 0.810 0.750 1

# 4
# PBE-GGA Sr2CaCu2Bi2IO8, optimized geometry
# - ΔH_f (0 K): -2990.0 kJ/mol of formula units
# - Magnetization: 0.31 μB per formula unit
data_Sr2CaCu2Bi2IO8
_cell_length_a 5.215
_cell_length_b 5.482
_cell_length_c 19.120
_cell_angle_alpha 90.00
_cell_angle_beta 90.00
_cell_angle_gamma 90.00
_symmetry_space_group_name_H-M 'P 1'
_symmetry_Int_Tables_number 1
_symmetry_space_group_name_Hall 'P 1'
loop_
_atom_site_label
_atom_site_type_symbol
_atom_site_fract_x
_atom_site_fract_y
_atom_site_fract_z
_atom_site_occupancy
Ca1 Ca 0.500 0.000 0.500 1
Ca2 Ca 0.000 0.500 0.500 1
O1 O 0.750 0.250 0.583 1
O2 O 0.750 0.750 0.584 1
O3 O 0.500 0.080 0.184 1
O4 O 0.000 0.980 0.278 1
O5 O 0.500 0.920 0.816 1
O6 O 0.250 0.750 0.584 1
O7 O 0.750 0.250 0.416 1
O8 O 0.000 0.580 0.816 1
O9 O 0.500 0.480 0.722 1
O10 O 0.000 0.020 0.722 1
O11 O 0.250 0.750 0.417 1
O12 O 0.250 0.250 0.583 1
O13 O 0.000 0.420 0.184 1
O14 O 0.250 0.250 0.416 1
O15 O 0.750 0.750 0.417 1
O16 O 0.500 0.520 0.278 1
Sr1 Sr 0.000 0.504 0.318 1
Sr2 Sr 0.000 0.496 0.682 1
Sr3 Sr 0.500 0.996 0.318 1
Sr4 Sr 0.500 0.004 0.682 1
Bi1 Bi 0.500 0.533 0.830 1
Bi2 Bi 0.000 0.033 0.170 1
Bi3 Bi 0.000 0.967 0.830 1
Bi4 Bi 0.500 0.467 0.170 1
Cu1 Cu 0.500 0.500 0.416 1
Cu2 Cu 0.000 0.000 0.584 1
Cu3 Cu 0.000 0.000 0.416 1
Cu4 Cu 0.500 0.500 0.584 1
I1 I 0.500 0.000 0.000 1
I2 I 0.000 0.500 0.000 1

# 5
# PBE-GGA AlGa3N4, optimized geometry
# - ΔH_f (0 K): -682.4 kJ/mol of formula units
data_AlGa3N4
_cell_length_a 3.193
_cell_length_b 5.191
_cell_length_c 5.529
_cell_angle_alpha 89.96
_cell_angle_beta 90.00
_cell_angle_gamma 90.00
_symmetry_space_group_name_H-M 'P 1'
_symmetry_Int_Tables_number 1
_symmetry_space_group_name_Hall 'P 1'
loop_
_atom_site_label
_atom_site_type_symbol
_atom_site_fract_x
_atom_site_fract_y
_atom_site_fract_z
_atom_site_occupancy
N1 N 0.500 0.119 0.659 1
N2 N 0.000 0.620 0.834 1
N3 N 0.500 0.632 0.333 1
N4 N 0.000 0.117 0.175 1
Ga1 Ga 0.000 0.000 0.834 1
Ga2 Ga 0.500 0.499 0.665 1
Ga3 Ga 0.000 0.499 0.169 1
Al1 Al 0.500 0.000 0.333 1

# 6
# PBE-GGA Cr4CN4, optimized geometry
# - ΔH_f (0 K): -262.7 kJ/mol of formula units
# - Magnetization: 0.03 μB per formula unit
data_Cr4CN4
_cell_length_a 9.382
_cell_length_b 2.718
_cell_length_c 12.351
_cell_angle_alpha 90.00
_cell_angle_beta 90.00
_cell_angle_gamma 90.00
_symmetry_space_group_name_H-M 'P 1'
_symmetry_Int_Tables_number 1
_symmetry_space_group_name_Hall 'P 1'
loop_
_atom_site_label
_atom_site_type_symbol
_atom_site_fract_x
_atom_site_fract_y
_atom_site_fract_z
_atom_site_occupancy
C1 C 0.159 0.750 0.522 1
C2 C 0.659 0.750 0.978 1
C3 C 0.841 0.250 0.478 1
C4 C 0.341 0.250 0.022 1
Cr1 Cr 0.420 0.750 0.679 1
Cr2 Cr 0.130 0.250 0.731 1
Cr3 Cr 0.370 0.750 0.231 1
Cr4 Cr 0.186 0.750 0.928 1
Cr5 Cr 0.686 0.750 0.572 1
Cr6 Cr 0.096 0.750 0.363 1
Cr7 Cr 0.314 0.250 0.428 1
Cr8 Cr 0.920 0.750 0.821 1
Cr9 Cr 0.814 0.250 0.072 1
Cr10 Cr 0.630 0.250 0.769 1
Cr11 Cr 0.870 0.750 0.269 1
Cr12 Cr 0.596 0.750 0.137 1
Cr13 Cr 0.404 0.250 0.863 1
Cr14 Cr 0.080 0.250 0.179 1
Cr15 Cr 0.580 0.250 0.321 1
Cr16 Cr 0.904 0.250 0.637 1
N1 N 0.774 0.750 0.716 1
N2 N 0.433 0.250 0.111 1
N3 N 0.453 0.750 0.372 1
N4 N 0.933 0.250 0.389 1
N5 N 0.567 0.750 0.889 1
N6 N 0.547 0.250 0.628 1
N7 N 0.726 0.250 0.216 1
N8 N 0.803 0.750 0.957 1
N9 N 0.226 0.250 0.284 1
N10 N 0.697 0.250 0.457 1
N11 N 0.953 0.750 0.128 1
N12 N 0.303 0.750 0.543 1
N13 N 0.197 0.250 0.043 1
N14 N 0.047 0.250 0.872 1
N15 N 0.274 0.750 0.784 1
N16 N 0.067 0.750 0.611 1

# 7
# PBE-GGA Cs2U4Nb4O23, optimized geometry
# - ΔH_f (0 K): -10465.5 kJ/mol of formula units
data_Cs2U4Nb4O23
_cell_length_a 7.756
_cell_length_b 8.902
_cell_length_c 8.902
_cell_angle_alpha 105.15
_cell_angle_beta 90.05
_cell_angle_gamma 90.05
_symmetry_space_group_name_H-M 'P 1'
_symmetry_Int_Tables_number 1
_symmetry_space_group_name_Hall 'P 1'
loop_
_atom_site_label
_atom_site_type_symbol
_atom_site_fract_x
_atom_site_fract_y
_atom_site_fract_z
_atom_site_occupancy
Cs1 Cs 0.500 0.002 0.002 1
Cs2 Cs 0.000 0.001 0.001 1
U1 U 0.240 0.508 0.029 1
U2 U 0.763 0.493 0.960 1
U3 U 0.240 0.029 0.508 1
U4 U 0.763 0.960 0.493 1
O1 O 0.760 0.696 0.949 1
O2 O 0.971 0.549 0.150 1
O3 O 0.464 0.455 0.840 1
O4 O 0.536 0.558 0.143 1
O5 O 0.251 0.314 0.586 1
O6 O 0.937 0.390 0.390 1
O7 O 0.068 0.601 0.601 1
O8 O 0.464 0.840 0.455 1
O9 O 0.248 0.306 0.041 1
O10 O 0.512 0.469 0.469 1
O11 O 0.251 0.586 0.314 1
O12 O 0.751 0.291 0.973 1
O13 O 0.754 0.678 0.407 1
O14 O 0.033 0.448 0.842 1
O15 O 0.971 0.150 0.549 1
O16 O 0.244 0.712 0.020 1
O17 O 0.248 0.041 0.306 1
O18 O 0.536 0.143 0.558 1
O19 O 0.754 0.407 0.678 1
O20 O 0.244 0.020 0.712 1
O21 O 0.751 0.973 0.291 1
O22 O 0.033 0.842 0.448 1
O23 O 0.760 0.949 0.696 1
Nb1 Nb 0.502 0.359 0.627 1
Nb2 Nb 0.002 0.605 0.387 1
Nb3 Nb 0.002 0.387 0.605 1
Nb4 Nb 0.502 0.627 0.359 1